<i>
First-principles (PBE) data for an optimized crystal structure of LiTi6O12, as listed in Materials Project.

Lattice parameters (Å, degrees): 5.8619 9.6070 7.8021 90.00 99.68 90.00
With the nearest neighbours (Å) after each atom.
Fractional coordinates of all 38 atoms:
Li1 0.0421 0.0000 0.2293  3 O 1.86-2.01
Li2 0.9579 0.5000 0.7707  3 O 1.86-2.01
Ti1 0.0288 0.3305 0.2363  6 O 1.93-2.05
Ti2 0.1425 0.6091 0.4244  6 O 1.94-2.08
Ti3 0.1926 0.1004 0.9006  6 O 1.92-2.06
Ti4 0.3256 0.8183 0.0865  6 O 1.95-2.03
Ti5 0.3640 0.3260 0.5663  6 O 1.93-2.05
Ti6 0.4781 0.6004 0.7620  6 O 1.96-2.03
Ti7 0.5219 0.1004 0.2380  6 O 1.96-2.03
Ti8 0.6360 0.8260 0.4337  6 O 1.93-2.05
Ti9 0.6744 0.3183 0.9135  6 O 1.95-2.03
Ti10 0.8074 0.6004 0.0994  6 O 1.92-2.06
Ti11 0.8575 0.1091 0.5756  6 O 1.94-2.08
Ti12 0.9712 0.8305 0.7637  6 O 1.93-2.05
O1 0.0382 0.9280 0.9875  3 Ti 1.96-2.06, 1 Li 2.01
O2 0.0545 0.2354 0.4722  3 Ti 1.94-2.04
O3 0.1163 0.6925 0.1919  3 Ti 1.97-2.04
O4 0.1281 0.9994 0.6857  3 Ti 1.92-2.01
O5 0.2049 0.4980 0.6487  1 Li 1.86, 3 Ti 1.96-2.05
O6 0.2065 0.1801 0.1465  3 Ti 1.98-2.05, 1 Li 2.13
O7 0.2810 0.7352 0.8555  3 Ti 1.95-2.05
O8 0.2982 0.4293 0.3509  3 Ti 1.93-2.08
O9 0.3624 0.9283 0.3123  3 Ti 1.98-2.03, 1 Li 2.00
O10 0.3785 0.2390 0.8069  3 Ti 1.94-2.04
O11 0.4482 0.6896 0.5253  3 Ti 1.93-2.02
O12 0.4661 0.9986 0.0168  3 Ti 1.96-2.03
O13 0.5339 0.4986 0.9832  3 Ti 1.96-2.03
O14 0.5518 0.1896 0.4747  3 Ti 1.93-2.02
O15 0.6215 0.7390 0.1931  3 Ti 1.94-2.04
O16 0.6376 0.4283 0.6877  3 Ti 1.98-2.03, 1 Li 2.00
O17 0.7018 0.9293 0.6491  3 Ti 1.93-2.08
O18 0.7190 0.2352 0.1445  3 Ti 1.95-2.05
O19 0.7935 0.6801 0.8535  3 Ti 1.98-2.05, 1 Li 2.13
O20 0.7951 0.9980 0.3513  1 Li 1.86, 3 Ti 1.96-2.05
O21 0.8719 0.4994 0.3143  3 Ti 1.92-2.01
O22 0.8837 0.1925 0.8081  3 Ti 1.97-2.04
O23 0.9455 0.7354 0.5278  3 Ti 1.94-2.04
O24 0.9618 0.4280 0.0125  3 Ti 1.96-2.06, 1 Li 2.01

Computed properties:
**Calculated volume**: 433.12 Å³/cell

<ii>
First-principles (PBE) data for an optimized crystal structure of LiTi6O12, as listed in Materials Project.

Lattice parameters (Å, degrees): 4.9340 5.9424 14.2432 90.00 92.10 90.00
With the nearest neighbours (Å) after each atom.
Fractional coordinates of all 38 atoms:
Li1 0.0000 0.1248 0.0000  4 O 1.83-2.03
Li2 0.0000 0.8752 0.5000  4 O 1.83-2.03
Ti1 0.3925 0.3754 0.6210  6 O 1.95-2.03
Ti2 0.3925 0.6246 0.1210  6 O 1.95-2.03
Ti3 0.4305 0.1260 0.1317  6 O 1.91-2.05
Ti4 0.4305 0.8740 0.6317  6 O 1.91-2.05
Ti5 0.4567 0.3787 0.9347  6 O 1.93-2.07
Ti6 0.4567 0.6213 0.4347  6 O 1.93-2.07
Ti7 0.4578 0.1289 0.4354  6 O 1.94-2.06
Ti8 0.4578 0.8711 0.9354  6 O 1.94-2.06
Ti9 0.9312 0.3756 0.2816  6 O 2.00-2.03
Ti10 0.9312 0.6244 0.7816  6 O 2.00-2.03
Ti11 0.9332 0.1253 0.7775  6 O 1.97-2.06
Ti12 0.9332 0.8747 0.2775  6 O 1.97-2.06
O1 0.1170 0.3752 0.7155  3 Ti 1.95-2.00
O2 0.1170 0.6248 0.2155  3 Ti 1.95-2.00
O3 0.1190 0.1249 0.2151  3 Ti 1.98-2.01
O4 0.1190 0.8751 0.7151  3 Ti 1.98-2.01
O5 0.2269 0.1248 0.8838  3 Ti 2.01-2.06, 1 Li 2.03
O6 0.2269 0.8752 0.3838  3 Ti 2.01-2.06, 1 Li 2.03
O7 0.2320 0.1178 0.5544  3 Ti 1.95-2.06, 1 Li 1.98
O8 0.2317 0.3676 0.0544  3 Ti 1.95-2.07, 1 Li 1.98
O9 0.2317 0.6324 0.5544  3 Ti 1.95-2.07, 1 Li 1.98
O10 0.2320 0.8822 0.0544  3 Ti 1.95-2.06, 1 Li 1.98
O11 0.2439 0.3746 0.3765  3 Ti 1.97-2.01
O12 0.2439 0.6254 0.8765  3 Ti 1.97-2.01
O13 0.6207 0.1301 0.6839  3 Ti 1.92-2.03
O14 0.6209 0.3800 0.1841  3 Ti 1.91-2.03
O15 0.6209 0.6200 0.6841  3 Ti 1.91-2.03
O16 0.6207 0.8699 0.1839  3 Ti 1.92-2.03
O17 0.6224 0.3752 0.5063  3 Ti 1.94-2.02
O18 0.6224 0.6248 0.0063  3 Ti 1.94-2.02
O19 0.6308 0.1252 0.0079  1 Li 1.83, 2 Ti 2.00-2.01
O20 0.6308 0.8748 0.5079  1 Li 1.83, 2 Ti 2.00-2.01
O21 0.7466 0.1222 0.3470  3 Ti 1.94-2.01
O22 0.7466 0.8778 0.8470  3 Ti 1.94-2.01
O23 0.7486 0.3724 0.8480  3 Ti 1.93-2.01
O24 0.7486 0.6276 0.3480  3 Ti 1.93-2.01

Computed properties:
**Calculated volume**: 417.33 Å³/cell

What should be chosen as the most stable of them? Choose <ii>.

<i>
First-principles (PBE) data for an optimized crystal structure of Li6Ti9O20, as listed in Materials Project.

Lattice parameters (Å, degrees): 5.9737 5.9737 24.6945 96.89 96.89 60.02
With the nearest neighbours (Å) after each atom.
Fractional coordinates of all 70 atoms:
Li1 0.0000 0.0000 0.0000  6 O 2.09-2.13
Li2 0.0000 0.0000 0.5000  6 O 2.13
Li3 0.0730 0.0730 0.7253  4 O 2.01-2.03
Li4 0.1307 0.1307 0.8777  4 O 2.00-2.08
Li5 0.2756 0.2756 0.3260  4 O 2.01-2.03
Li6 0.3243 0.3243 0.4733  4 O 2.00-2.04
Li7 0.4714 0.4714 0.9259  4 O 1.98-2.06
Li8 0.5286 0.5286 0.0741  4 O 1.98-2.06
Li9 0.6757 0.6757 0.5267  4 O 2.00-2.04
Li10 0.7244 0.7244 0.6740  4 O 2.01-2.03
Li11 0.8693 0.8693 0.1223  4 O 2.00-2.08
Li12 0.9270 0.9270 0.2747  4 O 2.01-2.03
Ti1 0.0000 0.5000 0.0000  6 O 1.95-2.04
Ti2 0.0983 0.5956 0.7993  6 O 1.98-2.04
Ti3 0.1876 0.1876 0.0960  4 O 1.85-2.04
Ti4 0.1926 0.7064 0.5978  6 O 1.90-2.08
Ti5 0.1958 0.1958 0.5978  6 O 1.92-2.08
Ti6 0.2936 0.8074 0.4022  6 O 1.90-2.08
Ti7 0.3990 0.3990 0.1988  6 O 1.97-2.03
Ti8 0.4019 0.4019 0.6983  6 O 1.95-2.05
Ti9 0.4044 0.9017 0.2007  6 O 1.98-2.04
Ti10 0.5000 0.0000 0.0000  6 O 1.95-2.04
Ti11 0.5956 0.0983 0.7993  6 O 1.98-2.04
Ti12 0.5981 0.5981 0.3017  6 O 1.95-2.05
Ti13 0.6010 0.6010 0.8012  6 O 1.97-2.03
Ti14 0.7064 0.1926 0.5978  6 O 1.90-2.08
Ti15 0.8042 0.8042 0.4022  6 O 1.92-2.08
Ti16 0.8074 0.2936 0.4022  6 O 1.90-2.08
Ti17 0.8124 0.8124 0.9040  4 O 1.85-2.04
Ti18 0.9017 0.4044 0.2007  6 O 1.98-2.04
O1 0.0478 0.0478 0.6430  1 Li 2.01, 3 Ti 2.02
O2 0.0672 0.0672 0.1529  3 Ti 2.00-2.04, 1 Li 2.08
O3 0.0700 0.5160 0.1540  3 Ti 1.97-2.14, 1 Li 2.04
O4 0.0868 0.5330 0.6484  3 Ti 1.97-2.08, 1 Li 2.02
O5 0.1125 0.6529 0.9490  2 Ti 1.85-1.99, 1 Li 1.98
O6 0.1345 0.6721 0.4426  2 Ti 1.92-1.94, 2 Li 2.00-2.13
O7 0.1355 0.1355 0.4423  2 Ti 1.90, 1 Li 2.00
O8 0.1638 0.1638 0.9593  2 Ti 1.95, 2 Li 2.00-2.09
O9 0.2476 0.2476 0.2431  3 Ti 2.01-2.03, 1 Li 2.03
O10 0.2673 0.2673 0.7521  3 Ti 2.00-2.05, 1 Li 2.03
O11 0.2683 0.7160 0.7523  1 Li 2.01, 3 Ti 2.02-2.03
O12 0.2840 0.7317 0.2477  1 Li 2.01, 3 Ti 2.02-2.03
O13 0.3279 0.8655 0.5574  2 Ti 1.92-1.94, 2 Li 2.00-2.13
O14 0.3345 0.3345 0.0485  1 Li 2.02, 3 Ti 2.04
O15 0.3471 0.8875 0.0510  2 Ti 1.85-1.99, 1 Li 1.98
O16 0.3522 0.3522 0.5567  3 Ti 2.03, 1 Li 2.04
O17 0.4467 0.4467 0.8419  3 Ti 2.00-2.02, 1 Li 2.06
O18 0.4670 0.9132 0.3516  3 Ti 1.97-2.08, 1 Li 2.02
O19 0.4689 0.4689 0.3521  3 Ti 1.95-2.08, 1 Li 2.01
O20 0.4840 0.9300 0.8460  3 Ti 1.97-2.14, 1 Li 2.04
O21 0.5160 0.0700 0.1540  3 Ti 1.97-2.14, 1 Li 2.04
O22 0.5311 0.5311 0.6479  3 Ti 1.95-2.08, 1 Li 2.01
O23 0.5330 0.0868 0.6484  3 Ti 1.97-2.08, 1 Li 2.02
O24 0.5533 0.5533 0.1581  3 Ti 2.00-2.02, 1 Li 2.06
O25 0.6478 0.6478 0.4433  3 Ti 2.03, 1 Li 2.04
O26 0.6529 0.1125 0.9490  2 Ti 1.85-1.99, 1 Li 1.98
O27 0.6655 0.6655 0.9515  1 Li 2.02, 3 Ti 2.04
O28 0.6721 0.1345 0.4426  2 Ti 1.92-1.94, 2 Li 2.00-2.13
O29 0.7160 0.2683 0.7523  1 Li 2.01, 3 Ti 2.02-2.03
O30 0.7317 0.2840 0.2477  1 Li 2.01, 3 Ti 2.02-2.03
O31 0.7327 0.7327 0.2479  3 Ti 2.00-2.05, 1 Li 2.03
O32 0.7524 0.7524 0.7569  3 Ti 2.01-2.03, 1 Li 2.03
O33 0.8362 0.8362 0.0407  2 Ti 1.95, 2 Li 2.00-2.09
O34 0.8645 0.8645 0.5577  2 Ti 1.90, 1 Li 2.00
O35 0.8655 0.3279 0.5574  2 Ti 1.92-1.94, 2 Li 2.00-2.13
O36 0.8875 0.3471 0.0510  2 Ti 1.85-1.99, 1 Li 1.98
O37 0.9132 0.4670 0.3516  3 Ti 1.97-2.08, 1 Li 2.02
O38 0.9300 0.4840 0.8460  3 Ti 1.97-2.14, 1 Li 2.04
O39 0.9328 0.9328 0.8471  3 Ti 2.00-2.04, 1 Li 2.08
O40 0.9522 0.9522 0.3570  1 Li 2.01, 3 Ti 2.02

Computed properties:
**Calculated volume**: 755.93 Å³/cell

<ii>
First-principles (PBE) data for an optimized crystal structure of Li6Ti9O20, as listed in Materials Project.

Lattice parameters (Å, degrees): 5.9833 5.9833 49.0730 93.52 93.52 59.90
With the nearest neighbours (Å) after each atom.
Fractional coordinates of all 140 atoms:
Li1 0.0376 0.0376 0.1126  4 O 2.01-2.02
Li2 0.0625 0.0625 0.1877  4 O 2.00-2.03
Li3 0.1005 0.1005 0.3036  3 O 1.99-2.00
Li4 0.1412 0.1412 0.4138  4 O 1.95-2.11
Li5 0.1578 0.1578 0.4885  4 O 2.02-2.06
Li6 0.2373 0.2373 0.7114  4 O 1.90-2.04
Li7 0.2621 0.2621 0.7865  4 O 2.02-2.07
Li8 0.3375 0.3375 0.0125  4 O 2.01-2.02
Li9 0.3502 0.3502 0.5495  6 O 2.08-2.15
Li10 0.3624 0.3624 0.0875  4 O 2.01-2.02
Li11 0.4399 0.4399 0.3165  3 O 1.94-1.96
Li12 0.4599 0.4599 0.3886  4 O 1.98-2.11
Li13 0.5401 0.5401 0.6114  4 O 1.98-2.11
Li14 0.5601 0.5601 0.6835  3 O 1.94-1.96
Li15 0.6376 0.6376 0.9125  4 O 2.01-2.02
Li16 0.6498 0.6498 0.4505  6 O 2.08-2.15
Li17 0.6625 0.6625 0.9875  4 O 2.01-2.02
Li18 0.7379 0.7379 0.2135  4 O 2.02-2.07
Li19 0.7627 0.7627 0.2886  4 O 1.90-2.04
Li20 0.8422 0.8422 0.5115  4 O 2.02-2.06
Li21 0.8588 0.8588 0.5862  4 O 1.95-2.11
Li22 0.8995 0.8995 0.6964  3 O 1.99-2.00
Li23 0.9375 0.9375 0.8123  4 O 2.00-2.03
Li24 0.9624 0.9624 0.8874  4 O 2.01-2.02
Ti1 0.0000 0.0000 0.0000  6 O 2.02
Ti2 0.0481 0.5536 0.6509  6 O 1.94-2.03
Ti3 0.0492 0.0492 0.6499  6 O 1.95-2.06
Ti4 0.0505 0.5498 0.1501  6 O 2.01-2.02
Ti5 0.1500 0.1500 0.9500  6 O 2.02
Ti6 0.1500 0.6500 0.9500  6 O 2.01-2.02
Ti7 0.1569 0.6553 0.4509  6 O 1.88-2.11
Ti8 0.2095 0.2095 0.5969  3 O 1.81-1.98
Ti9 0.2420 0.7531 0.7484  6 O 1.89-2.09
Ti10 0.2468 0.2468 0.2516  6 O 1.89-2.09
Ti11 0.2469 0.7580 0.2516  6 O 1.89-2.09
Ti12 0.3000 0.3000 0.9000  6 O 2.02
Ti13 0.3447 0.8431 0.5491  6 O 1.88-2.11
Ti14 0.3500 0.8500 0.0500  6 O 2.01-2.02
Ti15 0.4004 0.4004 0.2012  6 O 1.95-2.05
Ti16 0.4464 0.9519 0.3491  6 O 1.94-2.03
Ti17 0.4502 0.4502 0.8499  6 O 2.01-2.02
Ti18 0.4502 0.9495 0.8499  6 O 2.01-2.02
Ti19 0.5000 0.5000 0.5000  6 O 1.97-2.02
Ti20 0.5498 0.0505 0.1501  6 O 2.01-2.02
Ti21 0.5498 0.5498 0.1501  6 O 2.01-2.02
Ti22 0.5536 0.0481 0.6509  6 O 1.94-2.03
Ti23 0.5996 0.5996 0.7988  6 O 1.95-2.05
Ti24 0.6500 0.1500 0.9500  6 O 2.01-2.02
Ti25 0.6553 0.1569 0.4509  6 O 1.88-2.11
Ti26 0.7000 0.7000 0.1000  6 O 2.02
Ti27 0.7531 0.2420 0.7484  6 O 1.89-2.09
Ti28 0.7532 0.7532 0.7484  6 O 1.89-2.09
Ti29 0.7580 0.2469 0.2516  6 O 1.89-2.09
Ti30 0.7905 0.7905 0.4031  3 O 1.81-1.98
Ti31 0.8431 0.3447 0.5491  6 O 1.88-2.11
Ti32 0.8500 0.3500 0.0500  6 O 2.01-2.02
Ti33 0.8500 0.8500 0.0500  6 O 2.02
Ti34 0.9495 0.4502 0.8499  6 O 2.01-2.02
Ti35 0.9508 0.9508 0.3501  6 O 1.95-2.06
Ti36 0.9519 0.4464 0.3491  6 O 1.94-2.03
O1 0.0088 0.4589 0.9263  1 Li 2.01, 3 Ti 2.02
O2 0.0237 0.0237 0.0712  3 Ti 2.01-2.02, 1 Li 2.02
O3 0.0307 0.4902 0.5762  1 Ti 1.81, 1 Li 1.95
O4 0.0413 0.0413 0.5749  3 Ti 1.98-2.06, 1 Li 2.01
O5 0.0664 0.0664 0.7297  2 Ti 1.89, 1 Li 2.04
O6 0.0665 0.5970 0.7297  2 Ti 1.89, 1 Li 2.04
O7 0.0762 0.0762 0.2285  1 Li 2.00, 3 Ti 2.03
O8 0.0877 0.6427 0.3715  2 Ti 1.95-1.98, 1 Li 2.07
O9 0.1136 0.5563 0.2258  3 Ti 1.95-2.09, 1 Li 2.02
O10 0.1242 0.1242 0.3708  3 Ti 2.00-2.01, 1 Li 2.11
O11 0.1415 0.1415 0.8737  3 Ti 2.02, 1 Li 2.02
O12 0.1412 0.5910 0.8737  1 Li 2.01, 3 Ti 2.02
O13 0.1586 0.1586 0.0262  3 Ti 2.02, 1 Li 2.02
O14 0.1589 0.7087 0.0263  1 Li 2.01, 3 Ti 2.02
O15 0.1656 0.1656 0.5300  2 Ti 1.94, 2 Li 2.03-2.08
O16 0.1969 0.7351 0.6719  2 Ti 1.94-1.98, 2 Li 1.94-1.99
O17 0.2136 0.6733 0.5253  2 Ti 1.88-1.97, 2 Li 2.02-2.10
O18 0.2249 0.2249 0.6725  1 Li 1.90, 3 Ti 2.03-2.06
O19 0.2419 0.2419 0.1738  3 Ti 2.01-2.05, 1 Li 2.03
O20 0.2416 0.6902 0.1737  3 Ti 2.01-2.05, 1 Li 2.02
O21 0.2630 0.2630 0.3280  2 Ti 1.95, 2 Li 1.96-2.00
O22 0.2649 0.8031 0.3281  2 Ti 1.94-1.98, 2 Li 1.94-1.99
O23 0.2763 0.2763 0.8288  3 Ti 2.01, 1 Li 2.07
O24 0.2913 0.8411 0.9737  1 Li 2.01, 3 Ti 2.02
O25 0.3098 0.7584 0.8263  3 Ti 2.01-2.05, 1 Li 2.02
O26 0.3237 0.3237 0.9712  3 Ti 2.02, 1 Li 2.02
O27 0.3267 0.7864 0.4747  2 Ti 1.88-1.97, 2 Li 2.02-2.10
O28 0.3395 0.3395 0.4741  3 Ti 2.02, 1 Li 2.06
O29 0.3571 0.3571 0.6274  3 Ti 2.01-2.07, 1 Li 2.11
O30 0.3573 0.9123 0.6285  2 Ti 1.95-1.98, 1 Li 2.07
O31 0.3763 0.3763 0.1287  3 Ti 2.02, 1 Li 2.02
O32 0.4030 0.9335 0.2703  2 Ti 1.89, 1 Li 2.04
O33 0.4090 0.8588 0.1263  1 Li 2.01, 3 Ti 2.02
O34 0.4235 0.4235 0.2709  3 Ti 2.00, 1 Li 2.23
O35 0.4440 0.4440 0.7742  3 Ti 1.95-2.08, 1 Li 2.02
O36 0.4437 0.8864 0.7742  3 Ti 1.95-2.09, 1 Li 2.02
O37 0.4589 0.0088 0.9263  1 Li 2.01, 3 Ti 2.02
O38 0.4586 0.4586 0.9262  3 Ti 2.01-2.02, 1 Li 2.02
O39 0.4623 0.4623 0.4289  2 Ti 1.95, 2 Li 1.98-2.15
O40 0.4902 0.0307 0.5762  1 Ti 1.81, 1 Li 1.95
O41 0.5098 0.9693 0.4238  1 Ti 1.81, 1 Li 1.95
O42 0.5377 0.5377 0.5711  2 Ti 1.95, 2 Li 1.98-2.15
O43 0.5414 0.5414 0.0738  3 Ti 2.01-2.02, 1 Li 2.02
O44 0.5411 0.9912 0.0737  1 Li 2.01, 3 Ti 2.02
O45 0.5563 0.1136 0.2258  3 Ti 1.95-2.09, 1 Li 2.02
O46 0.5560 0.5560 0.2258  3 Ti 1.95-2.08, 1 Li 2.02
O47 0.5765 0.5765 0.7291  3 Ti 2.00, 1 Li 2.23
O48 0.5910 0.1412 0.8737  1 Li 2.01, 3 Ti 2.02
O49 0.5970 0.0665 0.7297  2 Ti 1.89, 1 Li 2.04
O50 0.6237 0.6237 0.8713  3 Ti 2.02, 1 Li 2.02
O51 0.6427 0.0877 0.3715  2 Ti 1.95-1.98, 1 Li 2.07
O52 0.6429 0.6429 0.3726  3 Ti 2.01-2.07, 1 Li 2.11
O53 0.6605 0.6605 0.5259  3 Ti 2.02, 1 Li 2.06
O54 0.6733 0.2136 0.5253  2 Ti 1.88-1.97, 2 Li 2.02-2.10
O55 0.6763 0.6763 0.0288  3 Ti 2.02, 1 Li 2.02
O56 0.6902 0.2416 0.1737  3 Ti 2.01-2.05, 1 Li 2.02
O57 0.7087 0.1589 0.0263  1 Li 2.01, 3 Ti 2.02
O58 0.7237 0.7237 0.1712  3 Ti 2.01, 1 Li 2.07
O59 0.7351 0.1969 0.6719  2 Ti 1.94-1.98, 2 Li 1.94-1.99
O60 0.7370 0.7370 0.6720  2 Ti 1.95, 2 Li 1.96-2.00
O61 0.7584 0.3098 0.8263  3 Ti 2.01-2.05, 1 Li 2.02
O62 0.7581 0.7581 0.8262  3 Ti 2.01-2.05, 1 Li 2.03
O63 0.7751 0.7751 0.3275  1 Li 1.90, 3 Ti 2.03-2.06
O64 0.7864 0.3267 0.4747  2 Ti 1.88-1.97, 2 Li 2.02-2.10
O65 0.8031 0.2649 0.3281  2 Ti 1.94-1.98, 2 Li 1.94-1.99
O66 0.8344 0.8344 0.4700  2 Ti 1.94, 2 Li 2.03-2.08
O67 0.8411 0.2913 0.9737  1 Li 2.01, 3 Ti 2.02
O68 0.8414 0.8414 0.9738  3 Ti 2.02, 1 Li 2.02
O69 0.8588 0.4090 0.1263  1 Li 2.01, 3 Ti 2.02
O70 0.8585 0.8585 0.1263  3 Ti 2.02, 1 Li 2.02
O71 0.8758 0.8758 0.6292  3 Ti 2.00-2.01, 1 Li 2.11
O72 0.8864 0.4437 0.7742  3 Ti 1.95-2.09, 1 Li 2.02
O73 0.9123 0.3573 0.6285  2 Ti 1.95-1.98, 1 Li 2.07
O74 0.9238 0.9238 0.7715  1 Li 2.00, 3 Ti 2.03
O75 0.9335 0.4030 0.2703  2 Ti 1.89, 1 Li 2.04
O76 0.9336 0.9336 0.2703  2 Ti 1.89, 1 Li 2.04
O77 0.9587 0.9587 0.4251  3 Ti 1.98-2.06, 1 Li 2.01
O78 0.9693 0.5098 0.4238  1 Ti 1.81, 1 Li 1.95
O79 0.9763 0.9763 0.9288  3 Ti 2.01-2.02, 1 Li 2.02
O80 0.9912 0.5411 0.0737  1 Li 2.01, 3 Ti 2.02

Computed properties:
**Calculated volume**: 1516.09 Å³/cell

What should be chosen as the most stable of them? Choose <i>.